# MnP, optimized geometry, DFT PBE
data_MnP
_chemical_formula_sum 'Mn4 P4'
_symmetry_space_group_name_H-M 'F -4 3 m'
_symmetry_Int_Tables_number 216
_symmetry_space_group_name_Hall 'F -4 2 3'
_cell_length_a 5.257
_cell_length_b 5.257
_cell_length_c 5.257
_cell_angle_alpha 90.00
_cell_angle_beta 90.00
_cell_angle_gamma 90.00
loop_
_atom_site_label
_atom_site_fract_x
_atom_site_fract_y
_atom_site_fract_z
Mn1 0.000 0.000 0.000
P1 0.250 0.250 0.750
# Calculated density ... 3.927 g/cm³
# Crystal system ... cubic
# E_form ... 37 meV per atom

# MnP, optimized geometry, DFT PBE
data_MnP
_chemical_formula_sum 'Mn2 P2'
_symmetry_space_group_name_H-M 'P 63/m m c'
_symmetry_Int_Tables_number 194
_symmetry_space_group_name_Hall '-P 6c 2c'
_cell_length_a 3.3393
_cell_length_b 3.3393
_cell_length_c 5.3692
_cell_angle_alpha 90.00
_cell_angle_beta 90.00
_cell_angle_gamma 120.00
loop_
_atom_site_label
_atom_site_fract_x
_atom_site_fract_y
_atom_site_fract_z
Mn1 0.0000 0.0000 0.0000
P1 0.3333 0.6667 0.2500
# Calculated density ... 5.503 g/cm³
# Crystal system ... hexagonal
# E_form ... -459 meV per atom

# Mn2P, optimized geometry, DFT PBE
data_Mn2P
_chemical_formula_sum 'Mn6 P3'
_symmetry_space_group_name_H-M 'P -6 2 m'
_symmetry_Int_Tables_number 189
_symmetry_space_group_name_Hall 'P -6 -2'
_cell_length_a 6.0855
_cell_length_b 6.0855
_cell_length_c 3.2620
_cell_angle_alpha 90.00
_cell_angle_beta 90.00
_cell_angle_gamma 120.00
loop_
_atom_site_label
_atom_site_fract_x
_atom_site_fract_y
_atom_site_fract_z
Mn1 0.0000 0.2562 0.0000
Mn2 0.0000 0.5995 0.5000
P1 0.0000 0.0000 0.5000
P2 0.3333 0.6667 0.0000
# Calculated density ... 6.707 g/cm³
# Crystal system ... hexagonal
# E_form ... -514 meV per atom

# Mn3P6Pd20, optimized geometry, DFT PBE
data_Mn3P6Pd20
_chemical_formula_sum 'Mn12 P24 Pd80'
_symmetry_space_group_name_H-M 'F m -3 m'
_symmetry_Int_Tables_number 225
_symmetry_space_group_name_Hall '-F 4 2 3'
_cell_length_a 12.099
_cell_length_b 12.099
_cell_length_c 12.099
_cell_angle_alpha 90.00
_cell_angle_beta 90.00
_cell_angle_gamma 90.00
loop_
_atom_site_label
_atom_site_fract_x
_atom_site_fract_y
_atom_site_fract_z
Mn1 0.000 0.000 0.000
Mn2 0.250 0.250 0.250
P1 0.000 0.000 0.266
Pd1 0.000 0.171 0.171
Pd2 0.119 0.119 0.381
# Calculated density ... 9.296 g/cm³
# Crystal system ... cubic
# E_form ... -436 meV per atom

# RbMnP, optimized geometry, DFT PBE
data_RbMnP
_chemical_formula_sum 'Rb2 Mn2 P2'
_symmetry_space_group_name_H-M 'P 4/n m m'
_symmetry_Int_Tables_number 129
_cell_length_a 3.838
_cell_length_b 3.838
_cell_length_c 11.461
_cell_angle_alpha 90.00
_cell_angle_beta 90.00
_cell_angle_gamma 90.00
loop_
_symmetry_equiv_pos_as_xyz
'x,y,z'
'-x,-y,-z'
'-y+1/2,x,z'
'y+1/2,-x,-z'
'-x+1/2,-y+1/2,z'
'x+1/2,y+1/2,-z'
'y,-x+1/2,z'
'-y,x+1/2,-z'
'x+1/2,-y,-z'
'-x+1/2,y,z'
'-y,-x,-z'
'y,x,z'
'-x,y+1/2,-z'
'x,-y+1/2,z'
'y+1/2,x+1/2,-z'
'-y+1/2,-x+1/2,z'
loop_
_atom_site_label
_atom_site_fract_x
_atom_site_fract_y
_atom_site_fract_z
Rb1 0.250 0.250 0.216
Mn1 0.250 0.750 0.500
P1 0.250 0.250 0.605
# Calculated density ... 3.371 g/cm³
# Crystal system ... tetragonal
# E_form ... -389 meV per atom

# Sc2Mn12P7, optimized geometry, DFT PBE
data_Sc2Mn12P7
_chemical_formula_sum 'Sc2 Mn12 P7'
_symmetry_space_group_name_H-M 'P -6'
_symmetry_Int_Tables_number 174
_cell_length_a 9.3264
_cell_length_b 9.3264
_cell_length_c 3.4292
_cell_angle_alpha 90.00
_cell_angle_beta 90.00
_cell_angle_gamma 120.00
loop_
_symmetry_equiv_pos_as_xyz
'x,y,z'
'-x+y,-x,-z'
'-y,x-y,z'
'x,y,-z'
'-x+y,-x,z'
'-y,x-y,-z'
loop_
_atom_site_label
_atom_site_fract_x
_atom_site_fract_y
_atom_site_fract_z
Sc1 0.0000 0.0000 0.0000
Sc2 0.3333 0.6667 0.5000
Mn1 0.0444 0.7652 0.5000
Mn2 0.1013 0.3834 0.0000
Mn3 0.4339 0.2319 0.0000
Mn4 0.5078 0.0570 0.5000
P1 0.0854 0.6246 0.0000
P2 0.2493 0.0431 0.5000
P3 0.6667 0.3333 0.5000
# Calculated density ... 6.210 g/cm³
# Crystal system ... hexagonal
# E_form ... -720 meV per atom

# MnPSe3, optimized geometry, DFT PBE
data_MnPSe3
_chemical_formula_sum 'Mn6 P6 Se18'
_symmetry_space_group_name_H-M 'R -3'
_symmetry_Int_Tables_number 148
_symmetry_space_group_name_Hall '-R 3'
_cell_length_a 6.4123
_cell_length_b 6.4123
_cell_length_c 22.4946
_cell_angle_alpha 90.00
_cell_angle_beta 90.00
_cell_angle_gamma 120.00
loop_
_atom_site_label
_atom_site_fract_x
_atom_site_fract_y
_atom_site_fract_z
Mn1 0.0000 0.0000 0.1670
P1 0.0000 0.0000 0.4502
Se1 0.0001 0.3324 0.9093
# Calculated density ... 4.015 g/cm³
# Crystal system ... trigonal
# E_form ... -541 meV per atom
# MP2020-corrected energy ... -5.5533 eV/atom

# MnSiP2, optimized geometry, DFT PBE
data_MnSiP2
_chemical_formula_sum 'Mn4 Si4 P8'
_symmetry_space_group_name_H-M 'I -4 2 d'
_symmetry_Int_Tables_number 122
_symmetry_space_group_name_Hall 'I -4 2bw'
_cell_length_a 5.560
_cell_length_b 5.560
_cell_length_c 10.404
_cell_angle_alpha 90.00
_cell_angle_beta 90.00
_cell_angle_gamma 90.00
loop_
_atom_site_label
_atom_site_fract_x
_atom_site_fract_y
_atom_site_fract_z
Mn1 0.000 0.000 0.000
Si1 0.000 0.000 0.500
P1 0.223 0.750 0.625
# Calculated density ... 2.994 g/cm³
# Crystal system ... tetragonal
# E_form ... -102 meV per atom

# Mn12SiP3, optimized geometry, DFT PBE
data_Mn12SiP3
_chemical_formula_sum 'Mn12 Si1 P3'
_symmetry_space_group_name_H-M 'P 1'
_symmetry_Int_Tables_number 1
_cell_length_a 4.483
_cell_length_b 6.697
_cell_length_c 6.752
_cell_angle_alpha 83.67
_cell_angle_beta 70.90
_cell_angle_gamma 70.65
loop_
_symmetry_equiv_pos_as_xyz
'x,y,z'
loop_
_atom_site_label
_atom_site_fract_x
_atom_site_fract_y
_atom_site_fract_z
Mn1 0.000 0.000 0.000
Mn2 0.025 0.278 0.224
Mn3 0.124 0.142 0.577
Mn4 0.288 0.767 0.629
Mn5 0.315 0.573 0.279
Mn6 0.444 0.909 0.213
Mn7 0.571 0.348 0.553
Mn8 0.622 0.339 0.928
Mn9 0.658 0.981 0.786
Mn10 0.861 0.934 0.420
Mn11 0.905 0.569 0.654
Mn12 0.961 0.637 0.993
Si1 0.184 0.291 0.856
P1 0.448 0.705 0.942
P2 0.531 0.209 0.268
P3 0.765 0.618 0.353
# Calculated density ... 7.169 g/cm³
# Crystal system ... triclinic
# E_form ... -316 meV per atom

# SrMn2P2, optimized geometry, DFT PBE
data_SrMn2P2
_chemical_formula_sum 'Sr1 Mn2 P2'
_symmetry_space_group_name_H-M 'P -3 m 1'
_symmetry_Int_Tables_number 164
_symmetry_space_group_name_Hall '-P 3 2"'
_cell_length_a 3.8517
_cell_length_b 3.8517
_cell_length_c 7.1257
_cell_angle_alpha 90.00
_cell_angle_beta 90.00
_cell_angle_gamma 120.00
loop_
_atom_site_label
_atom_site_fract_x
_atom_site_fract_y
_atom_site_fract_z
Sr1 0.0000 0.0000 0.0000
Mn1 0.3333 0.6667 0.6122
P1 0.3333 0.6667 0.2941
# Calculated density ... 4.706 g/cm³
# Crystal system ... trigonal
# E_form ... -628 meV per atom

# TaMnP, optimized geometry, DFT PBE
data_TaMnP
_chemical_formula_sum 'Ta4 Mn4 P4'
_symmetry_space_group_name_H-M 'P n m a'
_symmetry_Int_Tables_number 62
_cell_length_a 6.075
_cell_length_b 3.667
_cell_length_c 6.994
_cell_angle_alpha 90.00
_cell_angle_beta 90.00
_cell_angle_gamma 90.00
loop_
_symmetry_equiv_pos_as_xyz
'x,y,z'
'-x,-y,-z'
'-x+1/2,-y,z+1/2'
'x+1/2,y,-z+1/2'
'x+1/2,-y+1/2,-z+1/2'
'-x+1/2,y+1/2,z+1/2'
'-x,y+1/2,-z'
'x,-y+1/2,z'
loop_
_atom_site_label
_atom_site_fract_x
_atom_site_fract_y
_atom_site_fract_z
Ta1 0.023 0.250 0.178
Mn1 0.152 0.250 0.560
P1 0.219 0.750 0.377
# Calculated density ... 11.377 g/cm³
# Crystal system ... orthorhombic
# E_form ... -769 meV per atom

# Th2Mn12P7, optimized geometry, DFT PBE
data_Th2Mn12P7
_chemical_formula_sum 'Th2 Mn12 P7'
_symmetry_space_group_name_H-M 'P -6'
_symmetry_Int_Tables_number 174
_cell_length_a 9.2983
_cell_length_b 9.2983
_cell_length_c 3.7079
_cell_angle_alpha 90.00
_cell_angle_beta 90.00
_cell_angle_gamma 120.00
loop_
_symmetry_equiv_pos_as_xyz
'x,y,z'
'-x+y,-x,-z'
'-y,x-y,z'
'x,y,-z'
'-x+y,-x,z'
'-y,x-y,-z'
loop_
_atom_site_label
_atom_site_fract_x
_atom_site_fract_y
_atom_site_fract_z
Th1 0.0000 0.0000 0.0000
Th2 0.3333 0.6667 0.5000
Mn1 0.0432 0.2831 0.5000
Mn2 0.1025 0.7228 0.0000
Mn3 0.4424 0.2151 0.0000
Mn4 0.5139 0.4548 0.5000
P1 0.0663 0.4501 0.0000
P2 0.2630 0.2205 0.5000
P3 0.6667 0.3333 0.5000
# Calculated density ... 8.016 g/cm³
# Crystal system ... hexagonal
# E_form ... -657 meV per atom